Record 1
DFT (GGA-PBE) results for a relaxed structure of MnMoAs2.

```
MnMoAs2
1.0
3.3966 0.0000 0.0000
0.0000 5.8838 0.0000
0.0000 0.0000 6.4124
As Mn Mo
4 2 2
direct
0.0000 0.4410 0.9268 As
0.5000 0.0466 0.0755 As
0.0000 0.9534 0.5755 As
0.5000 0.5590 0.4268 As
0.0000 0.7506 0.1908 Mn
0.5000 0.2494 0.6908 Mn
0.5000 0.7444 0.8069 Mo
0.0000 0.2556 0.3069 Mo
```

Total magnetic moment (μB/f.u.): 3.0
Space group: Pmn2_1 (31)
Calculated formation energy (meV per atom): -255
Calculated density (g/cm3): 7.793

Record 2
DFT (GGA-PBE) results for a relaxed structure of NaMnAs.

```
NaMnAs
1.0
4.1328 0.0000 0.0000
0.0000 4.1328 0.0000
0.0000 0.0000 7.0021
Na As Mn
2 2 2
direct
0.0000 0.5000 0.3569 Na
0.5000 0.0000 0.6431 Na
0.5000 0.0000 0.2040 As
0.0000 0.5000 0.7960 As
0.0000 0.0000 0.0000 Mn
0.5000 0.5000 0.0000 Mn
```

Total magnetic moment (μB/f.u.): 3.5
Space group: P4/nmm (129)
Calculated formation energy (meV per atom): -278
Calculated density (g/cm3): 4.245

Record 3
DFT (GGA-PBE) results for a relaxed structure of Mn6Ni16As7.

```
Mn6Ni16As7
1.0
0.0000 5.6647 5.6647
5.6647 0.0000 5.6647
5.6647 5.6647 0.0000
Mn As Ni
6 7 16
direct
0.1880 0.8120 0.8120 Mn
0.8120 0.1880 0.8120 Mn
0.1880 0.1880 0.8120 Mn
0.8120 0.1880 0.1880 Mn
0.8120 0.8120 0.1880 Mn
0.1880 0.8120 0.1880 Mn
0.0000 0.0000 0.5000 As
0.5000 0.0000 0.5000 As
0.0000 0.5000 0.0000 As
0.5000 0.0000 0.0000 As
0.5000 0.5000 0.5000 As
0.0000 0.5000 0.5000 As
0.5000 0.5000 0.0000 As
0.6178 0.6178 0.6178 Ni
0.3822 0.3822 0.3822 Ni
0.8361 0.8361 0.8361 Ni
0.8361 0.4918 0.8361 Ni
0.8361 0.8361 0.4918 Ni
0.6178 0.1466 0.6178 Ni
0.4918 0.8361 0.8361 Ni
0.6178 0.6178 0.1466 Ni
0.1466 0.6178 0.6178 Ni
0.1639 0.1639 0.1639 Ni
0.3822 0.8534 0.3822 Ni
0.1639 0.5082 0.1639 Ni
0.1639 0.1639 0.5082 Ni
0.5082 0.1639 0.1639 Ni
0.3822 0.3822 0.8534 Ni
0.8534 0.3822 0.3822 Ni
```

Total magnetic moment (μB/f.u.): 24.8
Space group: Fm-3m (225)
Calculated formation energy (meV per atom): -217
Calculated density (g/cm3): 8.191

Record 4
DFT (GGA-PBE) results for a relaxed structure of MnNiAs.

```
MnNiAs
1.0
-4.2901 0.4194 4.4098
-1.5531 -3.2273 -1.2040
4.1159 -3.6024 4.3468
As Ni Mn
4 4 4
direct
0.7417 0.7500 0.3767 As
0.7583 0.2500 0.8767 As
0.2583 0.2500 0.6233 As
0.2417 0.7500 0.1233 As
0.3577 0.7500 0.4416 Ni
0.1423 0.2500 0.9416 Ni
0.6423 0.2500 0.5584 Ni
0.8577 0.7500 0.0584 Ni
0.0231 0.2500 0.3209 Mn
0.9769 0.7500 0.6791 Mn
0.5231 0.2500 0.1791 Mn
0.4769 0.7500 0.8209 Mn
```

Total magnetic moment (μB/f.u.): 3.5
Space group: Pnma (62)
Calculated formation energy (meV per atom): -249
Calculated density (g/cm3): 7.693

Record 5
DFT (GGA-PBE) results for a relaxed structure of MnNiAs.

```
MnNiAs
1.0
0.0000 0.0000 -3.6794
-3.0815 -5.3373 0.0000
-3.0815 5.3373 0.0000
Ni Mn As
3 3 3
direct
0.0000 0.7486 0.0000 Ni
0.0000 0.2514 0.2514 Ni
0.0000 0.0000 0.7486 Ni
0.5000 0.4147 0.0000 Mn
0.5000 0.5853 0.5853 Mn
0.5000 0.0000 0.4147 Mn
0.0000 0.6667 0.3333 As
0.0000 0.3333 0.6667 As
0.5000 0.0000 0.0000 As
```

Space group: P-62m (189)
Calculated formation energy (meV per atom): -257
Calculated density (g/cm3): 7.761

Record 6
DFT (GGA-PBE) results for a relaxed structure of Mn2AsP.

```
Mn2AsP
1.0
3.3202 0.0000 0.0000
0.0000 5.3521 0.0000
0.0000 0.0000 5.9696
As Mn P
2 4 2
direct
0.5000 0.3103 0.6743 As
0.5000 0.8103 0.3257 As
0.0000 0.9967 0.5640 Mn
0.5000 0.4939 0.0511 Mn
0.5000 0.9939 0.9489 Mn
0.0000 0.4967 0.4360 Mn
0.0000 0.1991 0.1678 P
0.0000 0.6991 0.8322 P
```

Total magnetic moment (μB/f.u.): 3.2
Space group: Pmc2_1 (26)
Calculated formation energy (meV per atom): -409
Calculated density (g/cm3): 6.755

Record 7
DFT (GGA-PBE) results for a relaxed structure of Mn4AsP3.

```
Mn4AsP3
1.0
3.2453 0.0000 0.0000
0.0000 5.2723 0.0000
0.0000 0.0002 5.9098
Mn As P
4 1 3
direct
0.5000 0.5016 0.3083 Mn
0.5000 0.0090 0.2042 Mn
0.0000 0.4894 0.6850 Mn
0.0000 0.0089 0.8000 Mn
0.5000 0.6897 0.9252 As
0.5000 0.1893 0.5715 P
0.0000 0.8080 0.4271 P
0.0000 0.3042 0.0787 P
```

Total magnetic moment (μB/f.u.): 6.0
Space group: Pm (6)
Calculated formation energy (meV per atom): -511
Calculated density (g/cm3): 6.365

Record 8
DFT (GGA-PBE) results for a relaxed structure of MnAsPd.

```
MnAsPd
1.0
0.0000 0.0000 -3.7515
-3.3371 -5.7801 0.0000
-3.3371 5.7801 0.0000
Mn Pd As
3 3 3
direct
0.5000 0.0000 0.5921 Mn
0.5000 0.5921 0.0000 Mn
0.5000 0.4079 0.4079 Mn
0.0000 0.0000 0.2618 Pd
0.0000 0.2618 0.0000 Pd
0.0000 0.7382 0.7382 Pd
0.0000 0.3333 0.6667 As
0.0000 0.6667 0.3333 As
0.5000 0.0000 0.0000 As
```

Total magnetic moment (μB/f.u.): 3.9
Space group: P-62m (189)
Calculated formation energy (meV per atom): -246
Calculated density (g/cm3): 8.133

Record 9
DFT (GGA-PBE) results for a relaxed structure of Pr4Mn2As5.

```
Pr4Mn2As5
1.0
1.4901 2.7451 -2.8313
-4.0635 -1.1195 -0.0855
-3.8889 13.2877 10.8365
Mn As Pr
2 5 4
direct
0.3333 0.6667 0.5478 Mn
0.6667 0.3333 0.4522 Mn
0.3333 0.6667 0.4100 As
0.6667 0.3333 0.2028 As
0.3333 0.6667 0.7972 As
0.0000 0.0000 0.0000 As
0.6667 0.3333 0.5900 As
0.6667 0.3333 0.8992 Pr
0.0000 0.0000 0.6979 Pr
0.0000 0.0000 0.3021 Pr
0.3333 0.6667 0.1008 Pr
```

Total magnetic moment (μB/f.u.): 6.3
Space group: P-3m1 (164)
Calculated formation energy (meV per atom): -1063
Calculated density (g/cm3): 6.432

Record 10
DFT (GGA-PBE) results for a relaxed structure of RbMnAs.

```
RbMnAs
1.0
4.4856 0.0000 0.0000
0.0000 4.4856 0.0000
0.0000 0.0000 8.3996
As Rb Mn
2 2 2
direct
0.0000 0.5000 0.1634 As
0.5000 0.0000 0.8366 As
0.5000 0.0000 0.3461 Rb
0.0000 0.5000 0.6539 Rb
0.5000 0.5000 0.0000 Mn
0.0000 0.0000 0.0000 Mn
```

Total magnetic moment (μB/f.u.): 4.5
Space group: P4/nmm (129)
Calculated formation energy (meV per atom): -203
Calculated density (g/cm3): 4.231

Record 11
DFT (GGA-PBE) results for a relaxed structure of RbMnAs.

```
RbMnAs
1.0
4.2083 0.0000 0.0000
0.0000 4.2083 0.0000
0.0000 0.0000 11.0899
Mn Rb As
2 2 2
direct
0.5000 0.5000 0.0000 Mn
0.0000 0.0000 0.0000 Mn
0.5000 0.0000 0.7056 Rb
0.0000 0.5000 0.2944 Rb
0.0000 0.5000 0.8812 As
0.5000 0.0000 0.1188 As
```

Total magnetic moment (μB/f.u.): 3.4
Space group: P4/nmm (129)
Calculated formation energy (meV per atom): -242
Calculated density (g/cm3): 3.641

Record 12
DFT (GGA-PBE) results for a relaxed structure of Rb4MnAs2S8.

```
Rb4MnAs2S8
1.0
9.2084 0.0000 0.0000
-0.3530 9.3617 0.0000
-2.8035 -3.2276 10.5350
S Rb Mn As
16 8 2 4
direct
0.4856 0.7405 0.0825 S
0.4750 0.8793 0.7250 S
0.9031 0.9228 0.7521 S
0.0969 0.0772 0.2479 S
0.9269 0.4204 0.2416 S
0.7873 0.6682 0.9148 S
0.0731 0.5796 0.7584 S
0.5250 0.1207 0.2750 S
0.6916 0.5902 0.5762 S
0.7695 0.8665 0.3886 S
0.2305 0.1335 0.6114 S
0.2127 0.3318 0.0852 S
0.3993 0.8358 0.3862 S
0.5144 0.2595 0.9175 S
0.6007 0.1642 0.6138 S
0.3084 0.4098 0.4238 S
0.2640 0.9834 0.9610 Rb
0.8976 0.2603 0.4796 Rb
0.4358 0.5186 0.7522 Rb
0.1024 0.7397 0.5204 Rb
0.7360 0.0166 0.0390 Rb
0.8893 0.3174 0.8710 Rb
0.5642 0.4814 0.2478 Rb
0.1107 0.6826 0.1290 Rb
0.3492 0.1390 0.4271 Mn
0.6508 0.8610 0.5729 Mn
0.5472 0.8881 0.2733 As
0.4528 0.1119 0.7267 As
0.1321 0.3125 0.2444 As
0.8679 0.6875 0.7556 As
```

Space group: P-1 (2)
Calculated formation energy (meV per atom): -976
Calculated density (g/cm3): 2.937